No. 1
# Y2MgS4

Y2MgS4 after structural relaxation (PBE, Materials Project).

Cell: 13.576 7.915 6.541 Å, 90.00 90.00 90.00°
Fractional positions:
Y: 0.000 0.000 0.000
Y: 0.000 0.500 0.000
Y: 0.233 0.250 0.500
Y: 0.267 0.750 0.000
Y: 0.500 0.000 0.500
Y: 0.500 0.500 0.500
Y: 0.733 0.250 0.000
Y: 0.767 0.750 0.500
Mg: 0.093 0.750 0.423
Mg: 0.407 0.250 0.923
Mg: 0.593 0.750 0.077
Mg: 0.907 0.250 0.577
S: 0.070 0.250 0.747
S: 0.092 0.750 0.790
S: 0.169 0.509 0.243
S: 0.169 0.991 0.243
S: 0.331 0.009 0.743
S: 0.331 0.491 0.743
S: 0.408 0.250 0.290
S: 0.430 0.750 0.247
S: 0.570 0.250 0.753
S: 0.592 0.750 0.710
S: 0.669 0.509 0.257
S: 0.669 0.991 0.257
S: 0.831 0.009 0.757
S: 0.831 0.491 0.757
S: 0.908 0.250 0.210
S: 0.930 0.750 0.253

Properties
relative energy among the computed polymorphs	0.014	eV per atom
space group	Pnma, No. 62

No. 2
# Y2MgS4

Y2MgS4 after structural relaxation (PBE, Materials Project).

Cell: 7.203 7.203 7.203 Å, 110.55 110.55 107.33°
Fractional positions:
Y: 0.008 0.625 0.883
Y: 0.375 0.258 0.383
Y: 0.742 0.125 0.117
Y: 0.875 0.992 0.617
Mg: 0.250 0.750 0.500
Mg: 0.500 0.500 0.000
S: 0.008 0.879 0.262
S: 0.121 0.384 0.130
S: 0.134 0.371 0.630
S: 0.254 0.992 0.870
S: 0.496 0.866 0.238
S: 0.616 0.746 0.738
S: 0.629 0.258 0.762
S: 0.742 0.504 0.370

Properties
relative energy among the computed polymorphs	0.077	eV per atom
space group	I-42d, No. 122

No. 3
# Y2MgS4

Y2MgS4 after structural relaxation (PBE, Materials Project).

Cell: 7.963 7.299 11.468 Å, 90.00 90.00 90.00°
Fractional positions:
Y: 0.041 0.250 0.191
Y: 0.072 0.750 0.480
Y: 0.428 0.250 0.980
Y: 0.459 0.750 0.691
Y: 0.541 0.250 0.309
Y: 0.572 0.750 0.020
Y: 0.928 0.250 0.520
Y: 0.959 0.750 0.809
Mg: 0.181 0.750 0.092
Mg: 0.319 0.250 0.592
Mg: 0.681 0.750 0.408
Mg: 0.819 0.250 0.908
S: 0.104 0.250 0.956
S: 0.130 0.002 0.657
S: 0.130 0.498 0.657
S: 0.221 0.250 0.390
S: 0.279 0.750 0.890
S: 0.370 0.502 0.157
S: 0.370 0.998 0.157
S: 0.396 0.750 0.456
S: 0.604 0.250 0.544
S: 0.630 0.002 0.843
S: 0.630 0.498 0.843
S: 0.721 0.250 0.110
S: 0.779 0.750 0.610
S: 0.870 0.502 0.343
S: 0.870 0.998 0.343
S: 0.896 0.750 0.044

Properties
relative energy among the computed polymorphs	0.229	eV per atom
space group	Pnma, No. 62

No. 4
# Y2MgS4

Y2MgS4 after structural relaxation (PBE, Materials Project).

Cell: 6.534 6.534 12.896 Å, 90.00 90.00 146.26°
Fractional positions:
Y: 0.118 0.882 0.500
Y: 0.363 0.637 0.702
Y: 0.637 0.363 0.202
Y: 0.882 0.118 0.000
Mg: 0.374 0.626 0.338
Mg: 0.626 0.374 0.838
S: 0.011 0.989 0.288
S: 0.262 0.738 0.889
S: 0.289 0.711 0.150
S: 0.463 0.537 0.516
S: 0.537 0.463 0.016
S: 0.711 0.289 0.650
S: 0.738 0.262 0.389
S: 0.989 0.011 0.788

Properties
relative energy among the computed polymorphs	0.015	eV per atom
space group	Cmc2_1, No. 36

No. 5
# Y2MgS4

Y2MgS4 after structural relaxation (PBE, Materials Project).

Cell: 7.248 8.394 12.878 Å, 99.61 95.70 90.02°
Fractional positions:
Y: 0.132 0.445 0.305
Y: 0.134 0.958 0.309
Y: 0.258 0.128 0.001
Y: 0.365 0.300 0.693
Y: 0.635 0.700 0.307
Y: 0.742 0.872 0.999
Y: 0.866 0.042 0.691
Y: 0.868 0.555 0.695
Mg: 0.251 0.622 0.996
Mg: 0.366 0.800 0.700
Mg: 0.634 0.200 0.300
Mg: 0.749 0.378 0.004
S: 0.096 0.407 0.102
S: 0.106 0.897 0.105
S: 0.195 0.544 0.628
S: 0.197 0.021 0.629
S: 0.308 0.718 0.376
S: 0.331 0.219 0.373
S: 0.392 0.844 0.893
S: 0.406 0.355 0.897
S: 0.594 0.645 0.103
S: 0.608 0.156 0.107
S: 0.669 0.781 0.627
S: 0.692 0.282 0.624
S: 0.803 0.979 0.371
S: 0.805 0.456 0.372
S: 0.894 0.103 0.895
S: 0.904 0.593 0.898

Properties
relative energy among the computed polymorphs	0.194	eV per atom
space group	P-1, No. 2

No. 6
# Y2MgS4

Y2MgS4 after structural relaxation (PBE, Materials Project).

Cell: 7.910 7.910 7.910 Å, 60.00 60.00 60.00°
Fractional positions:
Y: 0.000 0.000 0.000
Y: 0.000 0.000 0.500
Y: 0.000 0.500 0.000
Y: 0.500 0.000 0.000
Mg: 0.375 0.375 0.375
Mg: 0.625 0.625 0.625
S: 0.236 0.755 0.755
S: 0.245 0.245 0.245
S: 0.245 0.245 0.764
S: 0.245 0.764 0.245
S: 0.755 0.236 0.755
S: 0.755 0.755 0.236
S: 0.755 0.755 0.755
S: 0.764 0.245 0.245

Properties
relative energy among the computed polymorphs	0.000	eV per atom
space group	Fd-3m, No. 227

No. 7
# Y2MgS4

Y2MgS4 after structural relaxation (PBE, Materials Project).

Cell: 12.678 7.579 12.816 Å, 90.00 90.00 90.00°
Fractional positions:
Y: 0.109 0.118 0.000
Y: 0.128 0.619 0.359
Y: 0.133 0.372 0.693
Y: 0.134 0.871 0.694
Y: 0.366 0.871 0.194
Y: 0.367 0.372 0.193
Y: 0.372 0.619 0.859
Y: 0.391 0.118 0.500
Y: 0.609 0.882 0.000
Y: 0.628 0.381 0.359
Y: 0.633 0.628 0.693
Y: 0.634 0.129 0.694
Y: 0.866 0.129 0.194
Y: 0.867 0.628 0.193
Y: 0.872 0.381 0.859
Y: 0.891 0.882 0.500
Mg: 0.110 0.619 0.994
Mg: 0.126 0.122 0.364
Mg: 0.374 0.122 0.864
Mg: 0.390 0.619 0.494
Mg: 0.610 0.381 0.994
Mg: 0.626 0.878 0.364
Mg: 0.874 0.878 0.864
Mg: 0.890 0.381 0.494
S: 0.013 0.122 0.808
S: 0.021 0.628 0.816
S: 0.033 0.623 0.555
S: 0.041 0.128 0.548
S: 0.212 0.121 0.183
S: 0.213 0.621 0.166
S: 0.231 0.370 0.908
S: 0.233 0.872 0.909
S: 0.267 0.872 0.409
S: 0.269 0.370 0.408
S: 0.287 0.621 0.666
S: 0.288 0.121 0.683
S: 0.459 0.128 0.048
S: 0.467 0.623 0.055
S: 0.479 0.628 0.316
S: 0.487 0.122 0.308
S: 0.513 0.878 0.808
S: 0.521 0.372 0.816
S: 0.533 0.377 0.555
S: 0.541 0.872 0.548
S: 0.712 0.879 0.183
S: 0.713 0.379 0.166
S: 0.731 0.630 0.908
S: 0.733 0.128 0.909
S: 0.767 0.128 0.409
S: 0.769 0.630 0.408
S: 0.787 0.379 0.666
S: 0.788 0.879 0.683
S: 0.959 0.872 0.048
S: 0.967 0.377 0.055
S: 0.979 0.372 0.316
S: 0.987 0.878 0.308

Properties
relative energy among the computed polymorphs	0.013	eV per atom
space group	Pca2_1, No. 29

No. 8
# Y4MgS7

Y4MgS7 after structural relaxation (PBE, Materials Project).

Cell: 6.590 6.590 11.499 Å, 104.24 104.24 33.61°
Fractional positions:
Y: 0.000 0.000 0.000
Y: 0.386 0.386 0.597
Y: 0.579 0.579 0.364
Y: 0.693 0.693 0.801
Mg: 0.807 0.807 0.217
S: 0.033 0.033 0.744
S: 0.198 0.198 0.293
S: 0.354 0.354 0.846
S: 0.425 0.425 0.149
S: 0.657 0.657 0.020
S: 0.730 0.730 0.581
S: 0.949 0.949 0.436

Properties
total energy	-6.646	eV per atom
space group	Cm, No. 8